Here is an optimized crystal structure of Mn5PbS6O24 from the Materials Project. Energies are from PBE+U.

The value obtained for the calculated total energy is -0.246 hartree per atom. Its symmetry is P-3, No. 147. As for the total magnetization: 0.698 μB per atom. The calculation puts the formation enthalpy at 0 K at -2026 meV per atom.

a = 14.861 Å, b = 14.861 Å, c = 7.612 Å
α = 90.00°, β = 90.00°, γ = 120.00°
Fractional coordinates of all 108 atoms:
Mn 0.000 0.000 0.000
Mn 0.003 0.348 0.966
Mn 0.003 0.681 0.453
Mn 0.319 0.322 0.453
Mn 0.322 0.003 0.547
Mn 0.333 0.667 0.498
Mn 0.345 0.997 0.966
Mn 0.348 0.345 0.034
Mn 0.652 0.655 0.966
Mn 0.655 0.003 0.034
Mn 0.667 0.333 0.502
Mn 0.678 0.997 0.453
Mn 0.681 0.678 0.547
Mn 0.997 0.319 0.547
Mn 0.997 0.652 0.034
Pb 0.000 0.000 0.500
Pb 0.333 0.667 0.002
Pb 0.667 0.333 0.998
S 0.097 0.870 0.757
S 0.108 0.570 0.740
S 0.130 0.227 0.757
S 0.206 0.440 0.257
S 0.227 0.097 0.243
S 0.235 0.794 0.257
S 0.430 0.538 0.740
S 0.440 0.235 0.743
S 0.462 0.892 0.740
S 0.538 0.108 0.260
S 0.560 0.765 0.257
S 0.570 0.462 0.260
S 0.765 0.206 0.743
S 0.773 0.903 0.757
S 0.794 0.560 0.743
S 0.870 0.773 0.243
S 0.892 0.430 0.260
S 0.903 0.130 0.243
O 0.032 0.455 0.744
O 0.041 0.121 0.796
O 0.043 0.787 0.886
O 0.057 0.833 0.575
O 0.080 0.620 0.601
O 0.080 0.959 0.796
O 0.091 0.302 0.761
O 0.108 0.614 0.916
O 0.120 0.754 0.238
O 0.121 0.080 0.204
O 0.135 0.409 0.408
O 0.154 0.443 0.091
O 0.167 0.224 0.575
O 0.212 0.909 0.761
O 0.213 0.256 0.886
O 0.214 0.586 0.707
O 0.224 0.057 0.425
O 0.246 0.366 0.238
O 0.251 0.704 0.288
O 0.256 0.043 0.114
O 0.274 0.865 0.408
O 0.289 0.846 0.091
O 0.296 0.547 0.288
O 0.302 0.212 0.239
O 0.366 0.120 0.762
O 0.372 0.786 0.707
O 0.380 0.460 0.601
O 0.386 0.494 0.916
O 0.409 0.274 0.592
O 0.414 0.628 0.707
O 0.423 0.968 0.744
O 0.443 0.289 0.909
O 0.453 0.749 0.288
O 0.455 0.423 0.256
O 0.460 0.080 0.399
O 0.494 0.108 0.084
O 0.506 0.892 0.916
O 0.540 0.920 0.601
O 0.545 0.577 0.744
O 0.547 0.251 0.712
O 0.557 0.711 0.091
O 0.577 0.032 0.256
O 0.586 0.372 0.293
O 0.591 0.726 0.408
O 0.614 0.506 0.084
O 0.620 0.540 0.399
O 0.628 0.214 0.293
O 0.634 0.880 0.238
O 0.698 0.788 0.761
O 0.704 0.453 0.712
O 0.711 0.154 0.909
O 0.726 0.135 0.592
O 0.744 0.957 0.886
O 0.749 0.296 0.712
O 0.754 0.634 0.762
O 0.776 0.943 0.575
O 0.786 0.414 0.293
O 0.787 0.744 0.114
O 0.788 0.091 0.239
O 0.833 0.776 0.425
O 0.846 0.557 0.909
O 0.865 0.591 0.592
O 0.879 0.920 0.796
O 0.880 0.246 0.762
O 0.892 0.386 0.084
O 0.909 0.698 0.239
O 0.920 0.041 0.204
O 0.920 0.380 0.399
O 0.943 0.167 0.425
O 0.957 0.213 0.114
O 0.959 0.879 0.204
O 0.968 0.545 0.256